An optimized crystal structure of Mg6BiW, computed with PBE.

As for the total energy: -47.95 eV per cell. For the formation energy, the calculation gives 30 kJ per mole of atoms.

Cell: 5.1852 6.0940 10.8398 Å, 90.00 90.00 90.00°
Last column: nearest neighbours and their distance in Å.
Sites, in units of the cell vectors:
Mg: 0.5000 0.2480 0.4168  8 Mg 3.02-3.17, 2 Bi 3.09-3.13, 2 W 3.09-3.12
Mg: 0.5000 0.7520 0.4168  8 Mg 3.02-3.17, 2 Bi 3.09-3.13, 2 W 3.09-3.12
Mg: 0.0000 0.7673 0.0853  5 Mg 2.84-3.17, 2 W 3.08
Mg: 0.0000 0.2327 0.0853  5 Mg 2.84-3.17, 2 W 3.08
Mg: 0.0000 0.0000 0.3244  10 Mg 2.95-3.26, 2 W 3.12
Mg: 0.0000 0.5000 0.3376  10 Mg 3.04-3.18, 2 Bi 3.17
Mg: 0.5000 0.7480 0.9168  8 Mg 3.02-3.17, 2 Bi 3.09-3.13, 2 W 3.09-3.12
Mg: 0.5000 0.2520 0.9168  8 Mg 3.02-3.17, 2 Bi 3.09-3.13, 2 W 3.09-3.12
Mg: 0.0000 0.2673 0.5853  5 Mg 2.84-3.17, 2 W 3.08
Mg: 0.0000 0.7327 0.5853  5 Mg 2.84-3.17, 2 W 3.08
Mg: 0.0000 0.5000 0.8244  10 Mg 2.95-3.26, 2 W 3.12
Mg: 0.0000 0.0000 0.8376  10 Mg 3.04-3.18, 2 Bi 3.17
Bi: 0.5000 0.5000 0.1692  2 W 3.05, 10 Mg 3.09-3.19
Bi: 0.5000 0.0000 0.6692  2 W 3.05, 10 Mg 3.09-3.19
W: 0.5000 0.0000 0.1646  2 Bi 3.05, 10 Mg 3.08-3.12
W: 0.5000 0.5000 0.6646  2 Bi 3.05, 10 Mg 3.08-3.12